Density functional theory data (GGA-PBE) for a relaxed Zn3Si4Bi2O14 crystal.

Lattice parameters (Å, degrees): 9.4964 9.4964 10.5528 120.26 120.26 53.05
Closest atoms and distances in Å follow each position.
Atoms (fractional coordinates):
Zn 0.1146 0.8854 0.7500  4 O 2.01-2.15
Zn 0.2050 0.4279 0.5687  3 O 1.86-2.04
Zn 0.4279 0.2050 0.0687  3 O 1.86-2.04
Zn 0.5721 0.7950 0.9313  3 O 1.86-2.04
Zn 0.7950 0.5721 0.4313  3 O 1.86-2.04
Zn 0.8854 0.1146 0.2500  4 O 2.01-2.15
Si 0.0036 0.2371 0.1119  4 O 1.64-1.67
Si 0.0111 0.5962 0.2866  4 O 1.63-1.65
Si 0.2371 0.0036 0.6119  4 O 1.64-1.67
Si 0.4038 0.9889 0.2134  4 O 1.63-1.65
Si 0.5962 0.0111 0.7866  4 O 1.63-1.65
Si 0.7629 0.9964 0.3881  4 O 1.64-1.67
Si 0.9889 0.4038 0.7134  4 O 1.63-1.65
Si 0.9964 0.7629 0.8881  4 O 1.64-1.67
Bi 0.2680 0.7320 0.2500  6 O 2.29-2.42
Bi 0.5000 0.5000 0.0000  4 O 2.28-2.30
Bi 0.5000 0.5000 0.5000  4 O 2.28-2.30
Bi 0.7320 0.2680 0.7500  6 O 2.29-2.42
O 0.0021 0.1114 0.9335  1 Si 1.64
O 0.0101 0.4136 0.5724  1 Si 1.65
O 0.0197 0.5664 0.8697  2 Si 1.64-1.66
O 0.1114 0.0021 0.4335  1 Si 1.64
O 0.1468 0.1997 0.7421  2 Si 1.65-1.67
O 0.1662 0.7044 0.8325  1 Si 1.67
O 0.1997 0.1468 0.2421  2 Si 1.65-1.67
O 0.2120 0.5727 0.3248  1 Si 1.63
O 0.2956 0.8338 0.6675  1 Si 1.67
O 0.3819 0.4365 0.0950  1 Zn 1.86
O 0.4136 0.0101 0.0724  1 Si 1.65
O 0.4273 0.7880 0.1752  1 Si 1.63
O 0.4336 0.9803 0.6303  2 Si 1.64-1.66
O 0.4365 0.3819 0.5950  1 Zn 1.86
O 0.5635 0.6181 0.4050  1 Zn 1.86
O 0.5664 0.0197 0.3697  2 Si 1.64-1.66
O 0.5727 0.2120 0.8248  1 Si 1.63
O 0.5864 0.9899 0.9276  1 Si 1.65
O 0.6181 0.5635 0.9050  1 Zn 1.86
O 0.7044 0.1662 0.3325  1 Si 1.67
O 0.7880 0.4273 0.6752  1 Si 1.63
O 0.8003 0.8532 0.7579  2 Si 1.65-1.67
O 0.8338 0.2956 0.1675  1 Si 1.67
O 0.8532 0.8003 0.2579  2 Si 1.65-1.67
O 0.8886 0.9979 0.5665  1 Si 1.64
O 0.9803 0.4336 0.1303  2 Si 1.64-1.66
O 0.9899 0.5864 0.4276  1 Si 1.65
O 0.9979 0.8886 0.0665  1 Si 1.64

Values from the calculation:
Energy relative to the elements in kJ/mol of atoms: -231.53
VASP energy in eV per atom: -6.439
Space-group type: No. 15